1.
CaAl2Si3O10: relaxed, PBE-GGA.

Calculated values
ΔE_f, eV/atom: -3.32
Magnetic moment, μB/f.u.: 0.00
Polymorph energy (0 for the lowest one), meV/atom: 0
Space group: Cc, No. 9

a b c (Å): 8.915 8.915 9.179
angles (deg): 83.97 83.97 136.65
Sites, in units of the cell vectors:
O 0.609 0.744 0.818
O 0.624 0.460 0.898
O 0.236 0.291 0.955
O 0.117 0.774 0.083
O 0.168 0.890 0.373
O 0.783 0.397 0.670
O 0.866 0.061 0.173
O 0.436 0.914 0.870
O 0.473 0.109 0.537
O 0.890 0.168 0.873
O 0.109 0.473 0.037
O 0.460 0.624 0.398
O 0.510 0.579 0.114
O 0.397 0.783 0.170
O 0.061 0.866 0.673
O 0.774 0.117 0.583
O 0.291 0.236 0.455
O 0.914 0.436 0.370
O 0.744 0.609 0.318
O 0.579 0.510 0.614
Si 0.736 0.270 0.539
Si 0.505 0.533 0.948
Si 0.245 0.018 0.503
Si 0.533 0.505 0.448
Si 0.270 0.736 0.039
Si 0.018 0.245 0.003
Al 0.784 0.587 0.706
Al 0.587 0.784 0.206
Al 0.987 0.681 0.283
Al 0.681 0.987 0.783
Ca 0.084 0.317 0.350
Ca 0.317 0.084 0.850

2.
CaAl2Si3O12: relaxed, PBE-GGA.

Calculated values
ΔE_f, eV/atom: -2.77
Magnetic moment, μB/f.u.: 4.00
Space group: Cc, No. 9

a b c (Å): 9.679 9.679 9.820
angles (deg): 83.33 83.33 139.82
Sites, in units of the cell vectors:
O 0.268 0.818 0.757
O 0.694 0.924 0.047
O 0.216 0.517 0.526
O 0.410 0.080 0.490
O 0.080 0.410 0.990
O 0.387 0.494 0.206
O 0.517 0.216 0.026
O 0.099 0.140 0.111
O 0.140 0.099 0.611
O 0.924 0.694 0.547
O 0.110 0.956 0.875
O 0.269 0.669 0.162
O 0.669 0.269 0.662
O 0.818 0.268 0.257
O 0.800 0.522 0.831
O 0.956 0.110 0.375
O 0.494 0.387 0.706
O 0.259 0.140 0.315
O 0.595 0.981 0.558
O 0.522 0.800 0.331
O 0.140 0.259 0.815
O 0.667 0.812 0.834
O 0.981 0.595 0.058
O 0.812 0.667 0.334
Al 0.733 0.046 0.381
Al 0.046 0.733 0.881
Al 0.162 0.990 0.497
Al 0.990 0.162 0.997
Si 0.166 0.214 0.253
Si 0.485 0.043 0.615
Si 0.466 0.718 0.188
Si 0.043 0.485 0.115
Si 0.214 0.166 0.753
Si 0.718 0.466 0.688
Ca 0.626 0.338 0.244
Ca 0.338 0.626 0.744

3.
Ca2Al4Si8O31: relaxed, PBE-GGA.

Calculated values
ΔE_f, eV/atom: -2.40
Magnetic moment, μB/f.u.: 2.00
Space group: C2, No. 5

a b c (Å): 10.055 10.055 7.575
angles (deg): 75.63 75.63 83.80
Sites, in units of the cell vectors:
Al 0.178 0.568 0.736
Al 0.565 0.179 0.739
Al 0.821 0.435 0.261
Al 0.432 0.822 0.264
O 0.766 0.767 0.783
O 0.479 0.231 0.548
O 0.992 0.871 0.054
O 0.555 0.555 0.728
O 0.674 0.304 0.728
O 0.325 0.697 0.270
O 0.646 0.017 0.758
O 0.232 0.480 0.547
O 0.495 0.805 0.796
O 0.173 0.410 0.915
O 0.769 0.521 0.452
O 0.016 0.649 0.755
O 0.195 0.505 0.204
O 0.233 0.234 0.217
O 0.805 0.496 0.795
O 0.889 0.017 0.415
O 0.590 0.827 0.085
O 0.303 0.675 0.730
O 0.696 0.326 0.272
O 0.408 0.174 0.917
O 0.983 0.354 0.242
O 0.351 0.984 0.245
O 0.826 0.592 0.083
O 0.504 0.195 0.205
O 0.887 0.113 0.500
O 0.983 0.830 0.225
O 0.170 0.017 0.775
O 0.983 0.111 0.585
O 0.520 0.768 0.453
O 0.445 0.445 0.272
O 0.129 0.008 0.946
Si 0.700 0.465 0.678
Si 0.856 0.625 0.852
Si 0.375 0.144 0.148
Si 0.143 0.376 0.146
Si 0.624 0.857 0.854
Si 0.535 0.300 0.322
Si 0.301 0.536 0.321
Si 0.464 0.699 0.679
Ca 0.737 0.739 0.278
Ca 0.261 0.263 0.722

4.
Ca2Al3Si3O13: relaxed, PBE-GGA.

Calculated values
ΔE_f, eV/atom: -3.29
Magnetic moment, μB/f.u.: 1.00
Polymorph energy (0 for the lowest one), meV/atom: 10
Space group: P2_1/m, No. 11

a b c (Å): 5.656 8.919 10.235
angles (deg): 65.24 90.00 90.00
Sites, in units of the cell vectors:
Al 0.750 0.058 0.230
Al 0.250 0.942 0.770
Al 0.000 0.000 0.000
Al 0.500 0.000 0.000
Al 0.500 0.500 0.500
Al 0.000 0.500 0.500
Ca 0.250 0.175 0.424
Ca 0.750 0.389 0.850
Ca 0.750 0.825 0.576
Ca 0.250 0.611 0.150
O 0.485 0.955 0.352
O 0.750 0.662 0.816
O 0.515 0.045 0.648
O 0.495 0.192 0.044
O 0.984 0.457 0.337
O 0.995 0.808 0.956
O 0.985 0.045 0.648
O 0.016 0.543 0.663
O 0.750 0.335 0.593
O 0.750 0.933 0.128
O 0.250 0.353 0.554
O 0.005 0.192 0.044
O 0.250 0.338 0.184
O 0.516 0.457 0.337
O 0.250 0.067 0.872
O 0.750 0.105 0.855
O 0.250 0.469 0.904
O 0.505 0.808 0.956
O 0.484 0.543 0.663
O 0.250 0.665 0.407
O 0.750 0.531 0.096
O 0.015 0.955 0.352
O 0.750 0.647 0.446
O 0.250 0.895 0.145
O 0.250 0.783 0.705
O 0.750 0.217 0.295
Si 0.750 0.709 0.950
Si 0.250 0.592 0.731
Si 0.750 0.408 0.269
Si 0.750 0.132 0.683
Si 0.250 0.291 0.050
Si 0.250 0.868 0.317

5.
Ca3Al2Si2O12: relaxed, PBE-GGA.

Calculated values
ΔE_f, eV/atom: -2.88
Magnetic moment, μB/f.u.: 4.00
Space group: I4_1/acd, No. 142

a b c (Å): 10.593 10.593 10.593
angles (deg): 108.97 108.97 110.47
Sites, in units of the cell vectors:
Si 0.996 0.125 0.371
Si 0.254 0.625 0.129
Si 0.754 0.625 0.629
Si 0.375 0.004 0.129
Si 0.875 0.246 0.871
Si 0.875 0.746 0.371
Si 0.496 0.125 0.871
Si 0.375 0.504 0.629
O 0.926 0.280 0.050
O 0.812 0.988 0.250
O 0.220 0.574 0.950
O 0.426 0.376 0.646
O 0.938 0.689 0.676
O 0.438 0.762 0.250
O 0.811 0.562 0.324
O 0.521 0.970 0.146
O 0.939 0.762 0.250
O 0.998 0.823 0.053
O 0.229 0.876 0.950
O 0.752 0.305 0.325
O 0.573 0.248 0.553
O 0.012 0.262 0.324
O 0.073 0.520 0.325
O 0.324 0.470 0.450
O 0.439 0.188 0.176
O 0.030 0.176 0.550
O 0.252 0.927 0.447
O 0.980 0.427 0.675
O 0.311 0.988 0.250
O 0.555 0.730 0.053
O 0.677 0.502 0.947
O 0.720 0.771 0.646
O 0.177 0.230 0.175
O 0.738 0.561 0.750
O 0.270 0.323 0.825
O 0.126 0.676 0.146
O 0.195 0.748 0.675
O 0.626 0.479 0.450
O 0.021 0.874 0.550
O 0.512 0.189 0.750
O 0.055 0.002 0.825
O 0.512 0.688 0.750
O 0.530 0.979 0.854
O 0.124 0.074 0.354
O 0.770 0.945 0.947
O 0.695 0.020 0.447
O 0.624 0.271 0.050
O 0.738 0.062 0.750
O 0.312 0.061 0.824
O 0.729 0.780 0.354
O 0.824 0.374 0.854
O 0.498 0.445 0.175
O 0.480 0.805 0.553
O 0.012 0.262 0.824
O 0.238 0.488 0.176
O 0.238 0.488 0.676
Al 0.625 0.875 0.750
Al 0.125 0.375 0.750
Al 0.125 0.875 0.750
Al 0.625 0.875 0.250
Al 0.625 0.375 0.750
Al 0.125 0.375 0.250
Al 0.625 0.375 0.250
Al 0.125 0.875 0.250
Ca 0.002 0.625 0.877
Ca 0.250 0.250 0.000
Ca 0.875 0.998 0.623
Ca 0.000 0.500 0.500
Ca 0.748 0.125 0.123
Ca 0.248 0.125 0.623
Ca 0.500 0.000 0.500
Ca 0.502 0.625 0.377
Ca 0.375 0.252 0.377
Ca 0.375 0.752 0.877
Ca 0.875 0.498 0.123
Ca 0.750 0.750 0.000

6.
CaAl2Si2O8: relaxed, PBE-GGA.

Calculated values
ΔE_f, eV/atom: -3.42
Magnetic moment, μB/f.u.: 0.00
Polymorph energy (0 for the lowest one), meV/atom: 2
Space group: P-1, No. 2

a b c (Å): 8.239 8.864 9.575
angles (deg): 89.58 97.59 95.34
Sites, in units of the cell vectors:
Si 0.393 0.570 0.206
Si 0.976 0.755 0.547
Si 0.499 0.945 0.706
Si 0.501 0.055 0.294
Si 0.904 0.738 0.055
Si 0.096 0.262 0.945
Si 0.607 0.430 0.794
Si 0.024 0.245 0.453
Al 0.524 0.721 0.945
Al 0.001 0.440 0.189
Al 0.881 0.068 0.690
Al 0.119 0.932 0.310
Al 0.389 0.227 0.548
Al 0.611 0.773 0.452
Al 0.999 0.560 0.811
Al 0.476 0.279 0.055
O 0.368 0.059 0.639
O 0.933 0.367 0.346
O 0.495 0.566 0.830
O 0.475 0.621 0.370
O 0.316 0.967 0.252
O 0.728 0.801 0.992
O 0.208 0.324 0.521
O 0.632 0.941 0.361
O 0.433 0.876 0.853
O 0.272 0.199 0.008
O 0.684 0.033 0.748
O 0.067 0.633 0.654
O 0.491 0.201 0.399
O 0.873 0.584 0.141
O 0.024 0.715 0.932
O 0.505 0.434 0.170
O 0.590 0.295 0.912
O 0.996 0.113 0.859
O 0.054 0.095 0.370
O 0.205 0.511 0.215
O 0.896 0.218 0.570
O 0.004 0.887 0.141
O 0.567 0.124 0.147
O 0.104 0.782 0.430
O 0.410 0.705 0.088
O 0.127 0.416 0.859
O 0.946 0.905 0.630
O 0.976 0.285 0.068
O 0.525 0.379 0.630
O 0.792 0.676 0.479
O 0.795 0.489 0.785
O 0.509 0.799 0.601
Ca 0.690 0.419 0.424
Ca 0.232 0.922 0.999
Ca 0.768 0.078 0.001
Ca 0.310 0.581 0.576

7.
CaAl4Si2O11: relaxed, PBE-GGA.

Calculated values
ΔE_f, eV/atom: -3.33
Magnetic moment, μB/f.u.: 0.00
Space group: Cc, No. 9

a b c (Å): 5.478 5.478 12.838
angles (deg): 89.82 89.82 119.98
Sites, in units of the cell vectors:
Al 0.501 0.003 0.499
Al 0.003 0.008 0.646
Al 0.003 0.501 0.999
Al 0.332 0.665 0.729
Al 0.996 0.991 0.352
Al 0.665 0.332 0.229
Al 0.991 0.996 0.852
Al 0.008 0.003 0.146
O 0.352 0.189 0.578
O 0.656 0.328 0.078
O 0.151 0.848 0.749
O 0.303 0.150 0.253
O 0.328 0.656 0.578
O 0.347 0.674 0.925
O 0.810 0.164 0.922
O 0.848 0.151 0.249
O 0.837 0.190 0.578
O 0.811 0.648 0.922
O 0.696 0.849 0.745
O 0.648 0.811 0.422
O 0.189 0.352 0.078
O 0.849 0.696 0.245
O 0.164 0.810 0.422
O 0.674 0.347 0.425
O 0.648 0.824 0.077
O 0.824 0.648 0.577
O 0.354 0.177 0.924
O 0.190 0.837 0.078
O 0.150 0.303 0.753
O 0.177 0.354 0.424
Ca 0.666 0.333 0.753
Ca 0.333 0.666 0.253
Si 0.503 0.498 0.498
Si 0.498 0.995 0.998
Si 0.995 0.498 0.498
Si 0.498 0.503 0.998

8.
Ca2Al2SiO7: relaxed, PBE-GGA.

Calculated values
ΔE_f, eV/atom: -3.29
Magnetic moment, μB/f.u.: 0.00
Space group: P2_12_12_1, No. 19

a b c (Å): 13.963 6.083 7.736
angles (deg): 90.00 90.00 90.00
Sites, in units of the cell vectors:
Ca 0.704 0.307 0.597
Ca 0.678 0.388 0.155
Ca 0.822 0.888 0.345
Ca 0.204 0.693 0.403
Ca 0.796 0.807 0.903
Ca 0.296 0.193 0.097
Ca 0.178 0.612 0.845
Ca 0.322 0.112 0.655
O 0.906 0.047 0.123
O 0.571 0.106 0.151
O 0.396 0.472 0.292
O 0.509 0.730 0.101
O 0.213 0.234 0.850
O 0.604 0.028 0.792
O 0.896 0.528 0.708
O 0.991 0.230 0.399
O 0.352 0.544 0.966
O 0.406 0.953 0.877
O 0.929 0.606 0.349
O 0.104 0.972 0.208
O 0.323 0.857 0.219
O 0.287 0.734 0.650
O 0.009 0.270 0.899
O 0.429 0.394 0.651
O 0.594 0.547 0.377
O 0.177 0.357 0.281
O 0.713 0.766 0.150
O 0.148 0.044 0.534
O 0.491 0.770 0.601
O 0.677 0.643 0.719
O 0.094 0.453 0.623
O 0.823 0.143 0.781
O 0.648 0.956 0.466
O 0.071 0.894 0.849
O 0.787 0.266 0.350
O 0.852 0.456 0.034
Si 0.107 0.167 0.359
Si 0.393 0.667 0.141
Si 0.893 0.333 0.859
Si 0.607 0.833 0.641
Al 0.979 0.488 0.535
Al 0.521 0.988 0.965
Al 0.393 0.661 0.757
Al 0.107 0.161 0.743
Al 0.607 0.839 0.257
Al 0.479 0.512 0.465
Al 0.021 0.012 0.035
Al 0.893 0.339 0.243